# 1
VASP calculation (GGA-PBE) on a relaxed structure of LaI.

a = 3.9707 Å, b = 3.9707 Å, c = 9.7502 Å
α = 90.00°, β = 90.00°, γ = 120.00°
Positions (direct):
La: 0.0000 0.0000 0.0000
La: 0.0000 0.0000 0.5000
I: 0.3333 0.6667 0.2500
I: 0.6667 0.3333 0.7500

Total energy ... -4.306 eV per atom
Space-group type ... P6_3/mmc
Calculated density ... 6.631 Mg/m³
Formation energy ... -1.266 eV/atom

# 2
VASP calculation (GGA-PBE) on a relaxed structure of NaLa4I7N2.

a = 14.4664 Å, b = 11.3363 Å, c = 12.1587 Å
α = 90.00°, β = 90.00°, γ = 90.00°
Positions (direct):
Na: 0.0923 0.0478 0.0000
Na: 0.4077 0.5478 0.5000
Na: 0.5923 0.4522 0.0000
Na: 0.9077 0.9522 0.5000
La: 0.0839 0.3765 0.3234
La: 0.0864 0.6216 0.5586
La: 0.0879 0.3931 0.8012
La: 0.1027 0.5862 0.0650
La: 0.3973 0.0862 0.5650
La: 0.4121 0.8931 0.3012
La: 0.4136 0.1216 0.0586
La: 0.4161 0.8765 0.8234
La: 0.5839 0.1235 0.3234
La: 0.5864 0.8784 0.5586
La: 0.5879 0.1069 0.8012
La: 0.6027 0.9138 0.0650
La: 0.8973 0.4138 0.5650
La: 0.9121 0.6069 0.3012
La: 0.9136 0.3784 0.0586
La: 0.9161 0.6235 0.8234
I: 0.0184 0.8481 0.7045
I: 0.0278 0.1892 0.5354
I: 0.0505 0.8203 0.3584
I: 0.2002 0.3144 0.0445
I: 0.2245 0.6281 0.8320
I: 0.2350 0.4021 0.5737
I: 0.2479 0.5742 0.2845
I: 0.2521 0.0742 0.7845
I: 0.2650 0.9021 0.0737
I: 0.2755 0.1281 0.3320
I: 0.2998 0.8144 0.5445
I: 0.4495 0.3203 0.8584
I: 0.4722 0.6892 0.0354
I: 0.4816 0.3481 0.2045
I: 0.5184 0.6519 0.7045
I: 0.5278 0.3108 0.5354
I: 0.5505 0.6797 0.3584
I: 0.7002 0.1856 0.0445
I: 0.7245 0.8719 0.8320
I: 0.7350 0.0979 0.5737
I: 0.7479 0.9258 0.2845
I: 0.7521 0.4258 0.7845
I: 0.7650 0.5979 0.0737
I: 0.7755 0.3719 0.3320
I: 0.7998 0.6856 0.5445
I: 0.9495 0.1797 0.8584
I: 0.9722 0.8108 0.0354
I: 0.9816 0.1519 0.2045
N: 0.0031 0.4877 0.1875
N: 0.0032 0.4955 0.9365
N: 0.4969 0.9877 0.6875
N: 0.4968 0.9955 0.4365
N: 0.5032 0.0045 0.9365
N: 0.5031 0.0123 0.1875
N: 0.9968 0.5045 0.4365
N: 0.9969 0.5123 0.6875

Total energy ... -5.051 eV per atom
Spin magnetization ... 0.0 μB/cell
Space-group type ... Pna2_1
Calculated density ... 4.980 Mg/m³
Formation energy ... -1.645 eV/atom

Copy entry 1 word for word.
VASP calculation (GGA-PBE) on a relaxed structure of LaI.

a = 3.9707 Å, b = 3.9707 Å, c = 9.7502 Å
α = 90.00°, β = 90.00°, γ = 120.00°
Positions (direct):
La: 0.0000 0.0000 0.0000
La: 0.0000 0.0000 0.5000
I: 0.3333 0.6667 0.2500
I: 0.6667 0.3333 0.7500

Total energy ... -4.306 eV per atom
Space-group type ... P6_3/mmc
Calculated density ... 6.631 Mg/m³
Formation energy ... -1.266 eV/atom